Entry from the Materials Project database: a relaxed LiYbF2 crystal (r2SCAN).

Results
Its space-group type is I4_1/amd (141). Its formation energy is -2526 meV/atom. The value obtained for the total moment is 0.000 Bohr magnetons per cell.

a = 7.667 Å, b = 7.667 Å, c = 7.667 Å
α = 128.41°, β = 128.41°, γ = 75.96°
Atoms (fractional coordinates):
Li: 0.000 0.000 0.000
Li: 0.000 0.000 0.500
Li: 0.000 0.500 0.000
Li: 0.500 0.000 0.500
Yb: 0.000 0.500 0.500
Yb: 0.500 0.000 0.000
Yb: 0.500 0.500 0.000
Yb: 0.500 0.500 0.500
F: 0.238 0.689 0.549
F: 0.311 0.359 0.549
F: 0.311 0.762 0.951
F: 0.359 0.311 0.049
F: 0.641 0.689 0.951
F: 0.689 0.238 0.049
F: 0.689 0.641 0.451
F: 0.762 0.311 0.451

=====

Entry from the Materials Project database: a relaxed Ba2SnS4 crystal (r2SCAN).

Results
Its space-group type is P2_1/c (14). Its formation energy is -1627 meV/atom. The value obtained for the total moment is 0.000 Bohr magnetons per cell.

a = 8.587 Å, b = 8.650 Å, c = 12.127 Å
α = 90.00°, β = 112.79°, γ = 90.00°
Atoms (fractional coordinates):
Ba: 0.041 0.193 0.350
Ba: 0.041 0.307 0.850
Ba: 0.425 0.123 0.165
Ba: 0.425 0.377 0.665
Ba: 0.575 0.623 0.335
Ba: 0.575 0.877 0.835
Ba: 0.959 0.693 0.150
Ba: 0.959 0.807 0.650
Sn: 0.300 0.688 0.991
Sn: 0.300 0.812 0.491
Sn: 0.700 0.188 0.509
Sn: 0.700 0.312 0.009
S: 0.088 0.618 0.446
S: 0.088 0.882 0.946
S: 0.247 0.015 0.608
S: 0.247 0.485 0.108
S: 0.270 0.602 0.796
S: 0.270 0.898 0.296
S: 0.429 0.194 0.903
S: 0.429 0.306 0.403
S: 0.571 0.694 0.597
S: 0.571 0.806 0.097
S: 0.730 0.102 0.704
S: 0.730 0.398 0.204
S: 0.753 0.515 0.892
S: 0.753 0.985 0.392
S: 0.912 0.118 0.054
S: 0.912 0.382 0.554

=====

Entry from the Materials Project database: a relaxed BaSbAu crystal (r2SCAN).

Results
Its space-group type is P6_3/mmc (194). Its formation energy is -1038 meV/atom. The value obtained for the total moment is 0.000 Bohr magnetons per cell.

a = 4.804 Å, b = 4.804 Å, c = 9.475 Å
α = 90.00°, β = 90.00°, γ = 120.00°
Atoms (fractional coordinates):
Ba: 0.000 0.000 0.000
Ba: 0.000 0.000 0.500
Sb: 0.333 0.667 0.250
Sb: 0.667 0.333 0.750
Au: 0.333 0.667 0.750
Au: 0.667 0.333 0.250